[1]
DFT (PBE-GGA) results for a relaxed AcBr3 crystal.

Cell and atoms, written as POSCAR:
```
AcBr3
1.0
4.126 -7.146 0.000
4.126 7.146 0.000
0.000 0.000 4.719
Br Ac
6 2
direct
0.087 0.389 0.750
0.913 0.611 0.250
0.389 0.302 0.250
0.302 0.913 0.750
0.698 0.087 0.250
0.611 0.698 0.750
0.667 0.333 0.750
0.333 0.667 0.250
```

Properties
* symmetry: P6_3/m, No. 176
* formation energy from the elements: -241 kJ/mol of atoms
* calculated total energy: -4.352 eV per atom

***

[2]
DFT (PBE-GGA) results for a relaxed Ac2Br2O crystal.

Cell and atoms, written as POSCAR:
```
Ac2Br2O
1.0
4.613 0.000 0.000
0.000 4.613 0.000
0.000 0.000 13.992
Br Ac O
2 2 1
direct
0.500 0.500 0.638
0.500 0.500 0.362
0.500 0.500 0.840
0.500 0.500 0.160
0.500 0.500 0.000
```

Properties
* symmetry: P4/mmm, No. 123
* formation energy from the elements: -141 kJ/mol of atoms
* calculated total energy: -4.616 eV per atom

***

[3]
DFT (PBE-GGA) results for a relaxed AcBrO crystal.

Cell and atoms, written as POSCAR:
```
AcBrO
1.0
-4.245 0.183 -0.728
0.703 -0.506 -4.223
-0.472 -7.637 0.837
O Br Ac
2 2 2
direct
0.500 0.500 0.000
0.000 0.000 0.000
0.500 0.000 0.637
0.000 0.500 0.363
0.000 0.500 0.837
0.500 0.000 0.163
```

Properties
* symmetry: P4/nmm, No. 129
* formation energy from the elements: -311 kJ/mol of atoms
* calculated total energy: -6.558 eV per atom